Record 1
A relaxed structure of YTmTl2, computed with PBE.

Properties
Space group: Fm-3m
Uncorrected energy in eV/atom: -4.2496

```
16
Lattice="7.561 0.000 0.000 0.000 7.561 0.000 0.000 0.000 7.561" Properties=species:S:1:pos:R:3 pbc="T T T"
Y 0.000 0.000 0.000
Y 0.000 3.781 3.781
Y 3.781 0.000 3.781
Y 3.781 3.781 0.000
Tm 0.000 0.000 3.781
Tm 0.000 3.781 0.000
Tm 3.781 0.000 0.000
Tm 3.781 3.781 3.781
Tl 1.890 1.890 1.890
Tl 1.890 1.890 5.671
Tl 1.890 5.671 1.890
Tl 1.890 5.671 5.671
Tl 5.671 1.890 1.890
Tl 5.671 1.890 5.671
Tl 5.671 5.671 1.890
Tl 5.671 5.671 5.671
```



Record 2
A relaxed structure of Tm2TlZn, computed with PBE.

Properties
Space group: Fm-3m
Uncorrected energy in eV/atom: -3.4524

```
16
Lattice="7.285 0.000 0.000 0.000 7.285 0.000 0.000 0.000 7.285" Properties=species:S:1:pos:R:3 pbc="T T T"
Tm 1.821 1.821 1.821
Tm 1.821 1.821 5.464
Tm 1.821 5.464 1.821
Tm 1.821 5.464 5.464
Tm 5.464 1.821 1.821
Tm 5.464 1.821 5.464
Tm 5.464 5.464 1.821
Tm 5.464 5.464 5.464
Tl 0.000 0.000 0.000
Tl 0.000 3.642 3.642
Tl 3.642 0.000 3.642
Tl 3.642 3.642 0.000
Zn 0.000 0.000 3.642
Zn 0.000 3.642 0.000
Zn 3.642 0.000 0.000
Zn 3.642 3.642 3.642
```



Record 3
A relaxed structure of UTl3, computed with PBE.

Properties
M_tot in μB/f.u.: 2.68
Space group: Pm-3m
Uncorrected energy in eV/atom: -4.3824

```
4
Lattice="4.763 0.000 0.000 0.000 4.763 0.000 0.000 0.000 4.763" Properties=species:S:1:pos:R:3 pbc="T T T"
U 0.000 0.000 0.000
Tl 0.000 2.382 2.382
Tl 2.382 0.000 2.382
Tl 2.382 2.382 0.000
```



Record 4
A relaxed structure of Tl3V, computed with PBE.

Properties
M_tot in μB/f.u.: 3.07
Space group: Pm-3m
Uncorrected energy in eV/atom: -3.5145

```
4
Lattice="4.655 0.000 0.000 0.000 4.655 0.000 0.000 0.000 4.655" Properties=species:S:1:pos:R:3 pbc="T T T"
Tl 0.000 0.000 2.328
Tl 0.000 2.328 0.000
Tl 2.328 0.000 0.000
V 2.328 2.328 2.328
```



Record 5
A relaxed structure of Tl3V, computed with PBE.

Properties
M_tot in μB/f.u.: 3.26
Space group: I4/mmm
Uncorrected energy in eV/atom: -3.5340

```
8
Lattice="4.624 0.000 0.000 0.000 4.624 0.000 0.000 0.000 9.537" Properties=species:S:1:pos:R:3 pbc="T T T"
Tl 0.000 0.000 0.000
Tl 0.000 2.312 2.384
Tl 0.000 2.312 7.153
Tl 2.312 0.000 2.384
Tl 2.312 0.000 7.153
Tl 2.312 2.312 4.769
V 0.000 0.000 4.769
V 2.312 2.312 0.000
```



Record 6
A relaxed structure of Y3Tl5, computed with PBE.

Properties
Space group: Cmcm
Uncorrected energy in eV/atom: -4.2203

```
16
Lattice="5.096 -4.070 0.000 5.096 4.070 0.000 0.000 0.000 10.589" Properties=species:S:1:pos:R:3 pbc="T T T"
Y 5.096 3.078 7.942
Y 3.010 0.000 0.000
Y 3.010 0.000 5.294
Y 7.182 0.000 0.000
Y 7.182 0.000 5.294
Y 5.096 -3.078 2.647
Tl 2.272 1.686 7.942
Tl 5.096 2.478 0.418
Tl 5.096 2.478 4.876
Tl 2.272 -1.686 2.647
Tl 5.096 0.063 2.647
Tl 5.096 -0.063 7.942
Tl 7.920 1.686 7.942
Tl 5.096 -2.478 5.713
Tl 5.096 -2.478 10.170
Tl 7.920 -1.686 2.647
```